PBE+U Li2MnFeB2O6, optimized geometry; distance to the lowest polymorph of the same formula = 0 meV per atom
1.0
-3.092 1.229 4.033
-3.329 -3.555 1.901
7.332 -3.597 6.518
Li O B Mn Fe
4 12 4 2 2
Cartesian
1.143 -2.498 7.081
2.767 -4.974 8.114
-2.589 -0.723 3.883
-0.735 -3.115 4.703
-3.238 -0.886 5.697
-2.396 -2.943 7.782
2.896 -1.790 6.674
-2.093 -4.168 5.711
4.101 -5.051 6.635
-4.836 -2.670 5.335
1.150 -4.453 7.001
5.584 -3.180 7.054
3.221 -2.878 4.535
3.058 -3.588 9.413
-1.949 -2.450 3.219
-0.032 -1.580 5.621
-2.625 -4.077 6.997
5.268 -4.345 6.349
-4.382 -1.593 6.094
3.532 -1.852 5.426
-0.793 -3.383 9.301
-0.185 -0.036 2.092
4.239 -2.296 8.417
-1.441 -1.227 7.018

=====

PBE+U Li4MnFe3B4O12, optimized geometry; distance to the lowest polymorph of the same formula = 3 meV per atom
1.0
0.591 -0.617 -5.110
-5.122 -2.326 2.100
-1.830 8.847 -1.307
O Fe B Mn Li
12 3 4 1 4
Cartesian
-1.598 0.150 -0.168
-4.466 3.978 -1.385
-3.237 -0.765 -3.284
-4.107 1.638 -0.893
-3.096 6.654 -1.039
-5.253 3.051 0.698
-2.257 4.258 -3.384
-3.987 -1.719 -1.194
-1.847 1.922 -2.924
-1.172 2.877 -5.039
-2.349 7.605 -3.131
-4.739 5.732 -4.148
-5.356 5.793 -1.031
-1.009 0.147 -3.316
-2.276 4.870 -1.396
-4.627 2.880 -0.543
-2.940 7.770 -1.872
-3.388 -1.876 -2.462
-1.751 3.039 -3.767
-4.152 1.057 -2.904
-4.293 4.032 -3.332
-2.717 5.988 -4.199
-2.086 1.870 -0.975
-3.630 -0.092 -0.106

=====

DFT (PBE+U) results for crystalline Li6Mn5FeB6O18 at its relaxed geometry.

Cell and atoms, written as POSCAR:
```
Li6Mn5FeB6O18
1.0
-0.582 1.225 2.880
-1.085 -7.630 3.027
13.948 -0.748 3.138
O B Mn Fe Li
18 6 5 1 6
Cartesian
0.151 -3.176 3.141
7.062 -5.291 3.679
4.231 -6.263 5.279
-0.372 -6.482 2.682
7.147 -3.057 2.745
9.449 -3.647 5.221
6.569 -7.343 6.211
1.956 -7.079 5.166
11.200 -5.018 6.158
1.931 -4.506 4.067
4.774 -0.834 3.079
12.576 -0.818 2.890
9.426 -1.059 4.115
5.055 -4.257 2.833
11.709 -2.813 5.323
2.389 -2.300 3.221
8.819 -6.489 6.303
0.658 -1.079 0.592
1.491 -3.328 3.477
3.295 -7.263 5.515
7.907 -7.507 6.551
-1.084 -7.630 3.027
6.421 -4.196 3.083
10.787 -3.827 5.568
1.698 -6.444 3.085
13.470 -3.531 4.225
10.562 -6.783 5.021
4.131 -2.589 1.936
9.214 -2.998 3.138
5.982 -6.949 4.166
1.521 -0.707 2.367
7.940 -4.909 5.453
6.580 -1.349 3.663
-0.936 -4.792 3.609
11.407 -1.037 4.507
3.899 -4.492 4.458
```

=====

DFT (PBE+U) results for crystalline Li8Mn7FeB8O24 at its relaxed geometry.

Cell and atoms, written as POSCAR:
```
Li8Mn7FeB8O24
1.0
-1.359 0.074 5.075
7.458 -3.071 1.931
1.793 11.992 0.163
O Li Mn B Fe
24 8 7 8 1
Cartesian
2.516 1.974 1.566
2.624 2.939 3.779
1.319 10.631 5.009
6.003 3.479 5.108
3.530 5.570 5.046
4.321 3.469 2.149
0.419 4.638 4.918
3.517 8.923 3.855
1.917 5.515 2.057
6.907 9.464 5.191
2.679 -0.466 4.940
5.207 6.060 3.384
4.483 1.029 5.525
5.386 7.016 5.597
0.982 -0.470 1.981
6.580 -1.636 2.164
7.478 4.364 2.247
7.548 0.969 3.414
3.423 7.948 1.647
-0.540 2.040 3.678
5.217 9.459 2.229
8.425 6.961 3.484
0.359 8.034 3.753
4.380 0.069 3.312
2.970 10.898 4.005
6.039 0.339 2.315
5.814 4.093 3.240
1.862 8.650 4.861
6.912 6.329 2.398
2.071 4.904 3.919
4.924 -1.907 3.164
0.964 2.665 4.775
6.567 1.339 5.220
3.924 3.155 5.419
1.345 7.635 1.949
3.069 -0.166 1.678
0.431 1.665 1.867
7.473 7.327 5.305
4.823 9.158 5.492
3.165 2.786 2.513
4.700 6.230 4.659
6.658 4.285 6.055
4.065 8.764 2.592
5.763 -1.717 5.976
1.251 4.715 1.113
3.835 0.220 4.575
2.127 10.713 1.194
3.984 5.821 1.741
```

=====

PBE+U Li4Mn3FeB4O12, optimized geometry; distance to the lowest polymorph of the same formula = 2 meV per atom
1.0
0.568 -4.054 3.171
-4.301 3.853 1.820
-4.341 -5.405 -5.987
O B Li Fe Mn
12 4 4 1 3
Cartesian
-2.554 -3.154 0.466
-6.406 -5.615 -1.342
-3.066 -1.792 3.119
-5.511 -2.464 -1.455
-3.538 -4.703 -1.092
-4.529 -0.875 0.068
-1.657 0.015 0.362
-2.135 -5.522 0.701
-4.548 -6.183 -3.869
-5.995 -0.109 -1.693
-4.971 -3.819 -4.103
-3.515 0.568 2.882
-5.357 -1.155 -1.006
-5.165 -5.128 -4.555
-2.737 -4.455 0.002
-2.890 -0.485 3.569
-3.549 0.570 0.921
-4.517 -6.167 -1.909
-2.649 -1.451 -0.502
-5.418 -4.154 -0.496
-3.618 -3.337 -2.680
-6.919 -2.931 -2.915
-1.152 -2.674 1.930
-4.484 -2.267 1.652

=====

DFT (PBE+U) results for crystalline Li8Mn7FeB8O24 at its relaxed geometry.

Cell and atoms, written as POSCAR:
```
Li8Mn7FeB8O24
1.0
-3.694 0.283 -3.730
-2.116 -8.750 1.397
-7.286 2.596 7.133
B Mn O Fe Li
8 7 24 1 8
Cartesian
-3.317 -6.881 1.411
-6.097 -7.670 2.842
-4.108 -2.364 -1.148
-6.201 -2.718 4.576
-6.871 -3.128 0.246
-6.983 1.796 2.002
-9.792 1.045 3.390
-9.005 -3.471 5.955
-2.683 -3.965 0.983
-6.977 -5.645 5.100
-5.423 -4.720 2.428
-7.749 -1.128 2.506
-9.774 -6.346 6.459
-10.557 -1.828 3.896
-5.602 -8.206 -0.178
-6.786 -3.854 3.995
-6.647 -4.394 0.766
-3.911 -5.693 0.981
-8.472 -4.658 6.483
-6.206 -1.525 3.873
-6.387 -1.989 0.886
-3.891 -3.287 2.773
-6.385 1.699 3.262
-7.562 0.664 1.414
-3.731 -0.181 1.968
-5.915 -6.584 -1.470
-4.596 -3.596 -1.608
-6.825 -7.572 1.645
-6.984 0.693 6.058
-9.412 2.278 3.919
-3.815 -8.111 0.955
-9.106 -5.753 2.707
-9.257 -0.141 3.916
-9.290 -2.530 2.100
-8.621 -2.239 6.484
-5.612 -6.528 3.472
-4.706 -1.177 -1.575
-9.889 -3.541 4.893
-3.008 -2.345 -0.305
-6.213 -0.188 -0.163
-11.524 -4.607 4.584
-8.617 -0.373 5.745
-4.931 -1.725 2.245
-5.163 -5.147 -0.447
-8.682 -3.983 3.294
-7.833 -5.962 1.086
-2.250 -0.918 0.723
-5.776 0.248 4.461
```

=====

For the records above, the corresponding energy of formation values read -2.421 -2.372 -2.481 -2.484 -2.462 -2.485 eV/atom.
For the records above, the corresponding total magnetic moment values read 0.00 17.00 29.00 39.00 19.00 39.00 μB/cell.